No. 1
Li4Fe3Co3Sn2O16 (PBE+U, optimized geometry); electronic total energy = -5.99 eV per atom; mass density = 4782 kg/m³; symmetry = No. 8
1.0
5.1396 -2.9865 0.0000
5.1396 2.9865 0.0000
-0.1144 0.0000 9.7899
Li Fe Co Sn O
4 3 3 2 16
Direct
0.0000 0.0000 0.0000
0.0007 0.0007 0.5014
0.3294 0.3294 0.9002
0.6627 0.6627 0.4015
0.1681 0.6596 0.2208
0.6596 0.1681 0.2208
0.8285 0.8285 0.7200
0.1677 0.1677 0.2207
0.3365 0.8305 0.7209
0.8305 0.3365 0.7209
0.3312 0.3312 0.4966
0.6638 0.6638 0.9963
0.0013 0.0013 0.8131
0.0022 0.0022 0.3144
0.0311 0.4756 0.3454
0.1606 0.1606 0.6106
0.1606 0.6764 0.6069
0.3213 0.8386 0.1069
0.3276 0.3276 0.1132
0.4756 0.0311 0.3454
0.4804 0.4804 0.3473
0.5091 0.9626 0.8442
0.5138 0.5138 0.8431
0.6591 0.6591 0.6150
0.6764 0.1606 0.6069
0.8373 0.8373 0.1046
0.8386 0.3213 0.1069
0.9626 0.5091 0.8442

=====

No. 2
K2TlNiF6 (PBE+U, optimized geometry); electronic total energy = -4.13 eV per atom; mass density = 4453 kg/m³; symmetry = No. 225
1.0
0.0000 4.3947 4.3947
4.3947 0.0000 4.3947
4.3947 4.3947 0.0000
K Tl Ni F
2 1 1 6
Direct
0.2500 0.2500 0.2500
0.7500 0.7500 0.7500
0.0000 0.0000 0.0000
0.5000 0.5000 0.5000
0.2778 0.2778 0.7222
0.2778 0.7222 0.2778
0.2778 0.7222 0.7222
0.7222 0.2778 0.2778
0.7222 0.2778 0.7222
0.7222 0.7222 0.2778

=====

No. 3
ZnFeP2O7 (PBE+U, optimized geometry); energy above the lowest structure with this stoichiometry = 0 meV per atom; mass density = 3828 kg/m³; symmetry = No. 14
1.0
7.0861 0.0000 0.0000
0.0000 8.5049 0.0000
-3.5265 0.0000 8.5001
Zn Fe P O
4 4 8 28
Direct
0.1961 0.0580 0.3173
0.1961 0.4420 0.8173
0.8039 0.5580 0.1827
0.8039 0.9420 0.6827
0.2676 0.0690 0.8931
0.2676 0.4310 0.3931
0.7324 0.5690 0.6069
0.7324 0.9310 0.1069
0.0337 0.7256 0.9696
0.0337 0.7744 0.4696
0.4384 0.7338 0.2576
0.4384 0.7662 0.7576
0.5616 0.2338 0.2424
0.5616 0.2662 0.7424
0.9663 0.2256 0.5304
0.9663 0.2744 0.0304
0.0122 0.0918 0.6513
0.0122 0.4082 0.1513
0.0524 0.6129 0.3988
0.0524 0.8871 0.8988
0.1231 0.2334 0.4518
0.1231 0.2666 0.9518
0.2487 0.6765 0.1014
0.2487 0.8235 0.6014
0.3814 0.2405 0.2973
0.3814 0.2595 0.7973
0.3899 0.6097 0.8134
0.3899 0.8903 0.3134
0.4712 0.5999 0.3776
0.4712 0.9001 0.8776
0.5288 0.0999 0.1224
0.5288 0.4001 0.6224
0.6101 0.1097 0.6866
0.6101 0.3903 0.1866
0.6186 0.7405 0.2027
0.6186 0.7595 0.7027
0.7513 0.1765 0.3986
0.7513 0.3235 0.8986
0.8769 0.7334 0.0482
0.8769 0.7666 0.5482
0.9476 0.1129 0.1012
0.9476 0.3871 0.6012
0.9878 0.5918 0.8487
0.9878 0.9082 0.3487

=====

No. 4
MgTi2Mn2O6 (PBE+U, optimized geometry); energy above the lowest structure with this stoichiometry = 68 meV per atom; mass density = 4460 kg/m³; symmetry = No. 1
1.0
5.2454 0.0000 0.0000
2.6226 4.5448 0.0000
2.6213 -1.5101 5.0906
Mg Ti Mn O
1 2 2 6
Direct
0.0000 0.0000 0.0000
0.3037 0.3484 0.0444
0.3534 0.8239 0.4697
0.6624 0.1700 0.5055
0.7454 0.6276 0.8822
0.1952 0.0649 0.2287
0.2066 0.2004 0.7575
0.4423 0.5941 0.7579
0.5118 0.4243 0.2283
0.8358 0.7401 0.2286
0.8360 0.9643 0.7573

=====

No. 5
ZnCo3P3O13 (PBE+U, optimized geometry); electronic total energy = -6.43 eV per atom; mass density = 3867 kg/m³; symmetry = No. 11
1.0
7.4979 0.0000 0.0000
0.0000 6.2942 0.0000
-1.8074 0.0000 9.8831
Zn Co P O
2 6 6 26
Direct
0.1283 0.2500 0.1781
0.8717 0.7500 0.8219
0.1488 0.2500 0.7971
0.2913 0.7500 0.4317
0.5000 0.0000 0.0000
0.5000 0.5000 0.0000
0.7087 0.2500 0.5683
0.8512 0.7500 0.2029
0.1826 0.7500 0.1107
0.2344 0.7500 0.7606
0.2766 0.2500 0.5029
0.7234 0.7500 0.4971
0.7656 0.2500 0.2394
0.8174 0.2500 0.8893
0.0104 0.2500 0.9774
0.1118 0.5614 0.7886
0.1118 0.9386 0.7886
0.1314 0.7500 0.2534
0.1483 0.2500 0.6053
0.2460 0.0587 0.4050
0.2460 0.4413 0.4050
0.2832 0.7500 0.6210
0.2897 0.5416 0.0968
0.2897 0.9584 0.0968
0.3763 0.2500 0.9058
0.4122 0.7500 0.8688
0.4737 0.2500 0.5874
0.5263 0.7500 0.4126
0.5878 0.2500 0.1312
0.6237 0.7500 0.0942
0.7103 0.0416 0.9032
0.7103 0.4584 0.9032
0.7168 0.2500 0.3790
0.7540 0.5587 0.5950
0.7540 0.9413 0.5950
0.8517 0.7500 0.3947
0.8686 0.2500 0.7466
0.8882 0.0614 0.2114
0.8882 0.4386 0.2114
0.9896 0.7500 0.0226

=====

No. 6
CrF4 (PBE+U, optimized geometry); electronic total energy = -4.82 eV per atom; mass density = 2738 kg/m³; symmetry = No. 8
1.0
3.8925 -3.8925 0.0000
3.8925 3.8925 0.0000
-3.8925 0.0000 5.1233
Cr F
2 8
Direct
0.0000 0.0000 0.0000
0.5000 0.5000 0.0000
0.0550 0.0550 0.7703
0.2153 0.5550 0.7703
0.2847 0.2847 0.2297
0.4450 0.7847 0.2297
0.5550 0.2153 0.7703
0.7153 0.7153 0.7703
0.7847 0.4450 0.2297
0.9570 0.9570 0.2491

=====

No. 7
LiMn3H6Se8O24 (PBE+U, optimized geometry); electronic total energy = -5.60 eV per atom; mass density = 3523 kg/m³; symmetry = No. 148
1.0
5.6505 3.2623 5.0868
-5.6505 3.2623 5.0868
0.0000 -6.5246 5.0868
Li Mn H Se O
1 3 6 8 24
Direct
0.0000 0.0000 0.0000
0.0000 0.5000 0.5000
0.5000 0.0000 0.5000
0.5000 0.5000 0.0000
0.0020 0.3453 0.9250
0.0750 0.9980 0.6547
0.3453 0.9250 0.0020
0.6547 0.0750 0.9980
0.9250 0.0020 0.3453
0.9980 0.6547 0.0750
0.1574 0.8324 0.3708
0.1676 0.6292 0.8426
0.3300 0.3300 0.3300
0.3708 0.1574 0.8324
0.6292 0.8426 0.1676
0.6700 0.6700 0.6700
0.8324 0.3708 0.1574
0.8426 0.1676 0.6292
0.0118 0.7330 0.4930
0.0146 0.9680 0.2625
0.0320 0.7375 0.9854
0.0489 0.4914 0.7762
0.2238 0.9511 0.5086
0.2327 0.4850 0.4383
0.2625 0.0146 0.9680
0.2670 0.5070 0.9882
0.4383 0.2327 0.4850
0.4850 0.4383 0.2327
0.4914 0.7762 0.0489
0.4930 0.0118 0.7330
0.5070 0.9882 0.2670
0.5086 0.2238 0.9511
0.5150 0.5617 0.7673
0.5617 0.7673 0.5150
0.7330 0.4930 0.0118
0.7375 0.9854 0.0320
0.7673 0.5150 0.5617
0.7762 0.0489 0.4914
0.9511 0.5086 0.2238
0.9680 0.2625 0.0146
0.9854 0.0320 0.7375
0.9882 0.2670 0.5070

=====

No. 8
BaVO3 (PBE+U, optimized geometry); electronic total energy = -7.21 eV per atom; mass density = 6211 kg/m³; symmetry = No. 221
1.0
3.9825 0.0000 0.0000
0.0000 3.9825 0.0000
0.0000 0.0000 3.9825
Ba V O
1 1 3
Direct
0.0000 0.0000 0.0000
0.5000 0.5000 0.5000
0.0000 0.5000 0.5000
0.5000 0.0000 0.5000
0.5000 0.5000 0.0000

=====

No. 9
FeSi4O10 (PBE+U, optimized geometry); electronic total energy = -7.43 eV per atom; mass density = 2569 kg/m³; symmetry = No. 130
1.0
7.3565 0.0000 0.0000
0.0000 7.3565 0.0000
0.0000 0.0000 15.6787
Fe Si O
4 16 40
Direct
0.2500 0.2500 0.0880
0.2500 0.2500 0.5880
0.7500 0.7500 0.4120
0.7500 0.7500 0.9120
0.0062 0.0728 0.3505
0.0062 0.4272 0.8505
0.0728 0.0062 0.8505
0.0728 0.4938 0.3505
0.4272 0.0062 0.3505
0.4272 0.4938 0.8505
0.4938 0.0728 0.8505
0.4938 0.4272 0.3505
0.5062 0.5728 0.6495
0.5062 0.9272 0.1495
0.5728 0.5062 0.1495
0.5728 0.9938 0.6495
0.9272 0.5062 0.6495
0.9272 0.9938 0.1495
0.9938 0.5728 0.1495
0.9938 0.9272 0.6495
0.0016 0.7103 0.6289
0.0016 0.7897 0.1289
0.0242 0.1489 0.0909
0.0242 0.3511 0.5909
0.0398 0.5398 0.2500
0.0398 0.9602 0.7500
0.1489 0.0242 0.5909
0.1489 0.4758 0.0909
0.2103 0.5016 0.8711
0.2103 0.9984 0.3711
0.2897 0.5016 0.3711
0.2897 0.9984 0.8711
0.3511 0.0242 0.0909
0.3511 0.4758 0.5909
0.4602 0.5398 0.7500
0.4602 0.9602 0.2500
0.4758 0.1489 0.5909
0.4758 0.3511 0.0909
0.4984 0.7103 0.1289
0.4984 0.7897 0.6289
0.5016 0.2103 0.3711
0.5016 0.2897 0.8711
0.5242 0.6489 0.9091
0.5242 0.8511 0.4091
0.5398 0.0398 0.7500
0.5398 0.4602 0.2500
0.6489 0.5242 0.4091
0.6489 0.9758 0.9091
0.7103 0.0016 0.1289
0.7103 0.4984 0.6289
0.7897 0.0016 0.6289
0.7897 0.4984 0.1289
0.8511 0.5242 0.9091
0.8511 0.9758 0.4091
0.9602 0.0398 0.2500
0.9602 0.4602 0.7500
0.9758 0.6489 0.4091
0.9758 0.8511 0.9091
0.9984 0.2103 0.8711
0.9984 0.2897 0.3711

=====

No. 10
FePH6NO5 (PBE+U, optimized geometry); electronic total energy = -5.88 eV per atom; mass density = 2492 kg/m³; symmetry = No. 4
1.0
9.0146 0.0000 0.0000
0.0000 4.8325 0.0000
-0.0059 0.0000 11.4315
Fe P H N O
4 4 24 4 20
Direct
0.0232 0.0000 0.3751
0.0236 0.9966 0.8756
0.9764 0.4966 0.1244
0.9768 0.5000 0.6249
0.1955 0.9326 0.6262
0.1963 0.9278 0.1264
0.8037 0.4278 0.8736
0.8045 0.4326 0.3738
0.1906 0.4322 0.4437
0.1906 0.4369 0.3066
0.1917 0.4386 0.8082
0.1939 0.4256 0.9452
0.4109 0.8805 0.3009
0.4120 0.8805 0.8014
0.4126 0.8819 0.4498
0.4137 0.8802 0.9510
0.4532 0.5522 0.1244
0.4544 0.5544 0.6256
0.4579 0.1936 0.1243
0.4579 0.1954 0.6253
0.5421 0.6936 0.8757
0.5421 0.6954 0.3747
0.5456 0.0544 0.3744
0.5468 0.0522 0.8756
0.5863 0.3802 0.0490
0.5874 0.3819 0.5502
0.5880 0.3805 0.1986
0.5891 0.3805 0.6991
0.8061 0.9256 0.0548
0.8083 0.9386 0.1918
0.8094 0.9322 0.5563
0.8094 0.9369 0.6934
0.4771 0.8779 0.3748
0.4778 0.8761 0.8756
0.5222 0.3761 0.1244
0.5229 0.3779 0.6252
0.1156 0.7772 0.0215
0.1211 0.7806 0.5193
0.1260 0.7897 0.7376
0.1317 0.7855 0.2391
0.1636 0.2440 0.6245
0.1658 0.2392 0.1254
0.2028 0.3117 0.3746
0.2065 0.3106 0.8746
0.3662 0.8834 0.6245
0.3668 0.8764 0.1198
0.6332 0.3764 0.8802
0.6338 0.3834 0.3755
0.7935 0.8106 0.1254
0.7972 0.8117 0.6254
0.8342 0.7392 0.8746
0.8364 0.7440 0.3755
0.8683 0.2855 0.7609
0.8740 0.2897 0.2624
0.8789 0.2806 0.4807
0.8844 0.2772 0.9785

=====

Please write out number 4 again, unchanged.
MgTi2Mn2O6 (PBE+U, optimized geometry); energy above the lowest structure with this stoichiometry = 68 meV per atom; mass density = 4460 kg/m³; symmetry = No. 1
1.0
5.2454 0.0000 0.0000
2.6226 4.5448 0.0000
2.6213 -1.5101 5.0906
Mg Ti Mn O
1 2 2 6
Direct
0.0000 0.0000 0.0000
0.3037 0.3484 0.0444
0.3534 0.8239 0.4697
0.6624 0.1700 0.5055
0.7454 0.6276 0.8822
0.1952 0.0649 0.2287
0.2066 0.2004 0.7575
0.4423 0.5941 0.7579
0.5118 0.4243 0.2283
0.8358 0.7401 0.2286
0.8360 0.9643 0.7573

=====

Look up the mass density of the fourth one. 4460 kg/m³

=====

What is the mass density in the first record? 4782 kg/m³